(1)
# PBE AlZnH4O2F5, optimized geometry
# **ΔE to the lowest computed polymorph**: 0.110 eV/atom
data_AlZnH4O2F5
_cell_length_a 6.843
_cell_length_b 7.453
_cell_length_c 7.453
_cell_angle_alpha 58.26
_cell_angle_beta 62.67
_cell_angle_gamma 62.67
_space_group_name_H-M_alt 'P 1'
_space_group_IT_number 1
_space_group_name_Hall 'P 1'
loop_
_atom_site_label
_atom_site_fract_x
_atom_site_fract_y
_atom_site_fract_z
O1 0.845 0.400 0.400
O2 0.855 0.900 0.900
O3 0.145 0.100 0.100
O4 0.155 0.600 0.600
F1 0.567 0.066 0.666
F2 0.433 0.334 0.934
F3 0.567 0.666 0.066
F4 0.800 0.434 0.834
F5 0.428 0.750 0.750
F6 0.200 0.166 0.566
F7 0.572 0.250 0.250
F8 0.800 0.834 0.434
F9 0.433 0.934 0.334
F10 0.200 0.566 0.166
H1 0.941 0.459 0.247
H2 0.853 0.747 0.959
H3 0.147 0.253 0.041
H4 0.853 0.959 0.747
H5 0.941 0.247 0.459
H6 0.147 0.041 0.253
H7 0.059 0.541 0.753
H8 0.059 0.753 0.541
Zn1 0.000 0.500 0.500
Zn2 0.500 0.000 0.000
Al1 0.500 0.500 0.000
Al2 0.500 0.000 0.500



(2)
First-principles (PBE) data for a geometry-optimized K2AlHgF6 structure, as listed in the Materials Project database.

The structure in CIF format:
```
data_K2AlHgF6
_cell_length_a 6.215
_cell_length_b 6.215
_cell_length_c 6.215
_cell_angle_alpha 60.00
_cell_angle_beta 60.00
_cell_angle_gamma 60.00
_space_group_name_H-M_alt 'P 1'
_space_group_IT_number 1
_space_group_name_Hall 'P 1'
loop_
_atom_site_label
_atom_site_fract_x
_atom_site_fract_y
_atom_site_fract_z
Hg1 0.500 0.500 0.500
K1 0.250 0.250 0.250
K2 0.750 0.750 0.750
Al1 0.000 0.000 0.000
F1 0.791 0.209 0.209
F2 0.791 0.791 0.209
F3 0.791 0.209 0.791
F4 0.209 0.791 0.791
F5 0.209 0.209 0.791
F6 0.209 0.791 0.209
```



(3)
First-principles (PBE) data for a geometry-optimized Li2AlHgF6 structure, as listed in the Materials Project database.

The structure in CIF format:
```
data_Li2AlHgF6
_cell_length_a 6.069
_cell_length_b 6.069
_cell_length_c 6.069
_cell_angle_alpha 60.00
_cell_angle_beta 60.00
_cell_angle_gamma 60.00
_space_group_name_H-M_alt 'P 1'
_space_group_IT_number 1
_space_group_name_Hall 'P 1'
loop_
_atom_site_label
_atom_site_fract_x
_atom_site_fract_y
_atom_site_fract_z
Li1 0.250 0.250 0.250
Li2 0.750 0.750 0.750
F1 0.787 0.213 0.213
F2 0.787 0.787 0.213
F3 0.787 0.213 0.787
F4 0.213 0.787 0.213
F5 0.213 0.787 0.787
F6 0.213 0.213 0.787
Al1 0.000 0.000 0.000
Hg1 0.500 0.500 0.500
```



(4)
First-principles (PBE) data for a geometry-optimized Na2AlHgF6 structure, as listed in the Materials Project database.

The structure in CIF format:
```
data_Na2AlHgF6
_cell_length_a 6.106
_cell_length_b 6.106
_cell_length_c 6.106
_cell_angle_alpha 60.00
_cell_angle_beta 60.00
_cell_angle_gamma 60.00
_space_group_name_H-M_alt 'P 1'
_space_group_IT_number 1
_space_group_name_Hall 'P 1'
loop_
_atom_site_label
_atom_site_fract_x
_atom_site_fract_y
_atom_site_fract_z
F1 0.212 0.788 0.212
F2 0.788 0.788 0.212
F3 0.212 0.788 0.788
F4 0.788 0.212 0.212
F5 0.212 0.212 0.788
F6 0.788 0.212 0.788
Al1 0.000 0.000 0.000
Hg1 0.500 0.500 0.500
Na1 0.750 0.750 0.750
Na2 0.250 0.250 0.250
```



(5)
# PBE AlHg2O2F5, optimized geometry
# **ΔE to the lowest computed polymorph**: 0.223 eV/atom
data_AlHg2O2F5
_cell_length_a 7.328
_cell_length_b 7.328
_cell_length_c 7.328
_cell_angle_alpha 104.78
_cell_angle_beta 104.78
_cell_angle_gamma 119.33
_space_group_name_H-M_alt 'P 1'
_space_group_IT_number 1
_space_group_name_Hall 'P 1'
loop_
_atom_site_label
_atom_site_fract_x
_atom_site_fract_y
_atom_site_fract_z
F1 0.303 0.062 0.840
F2 0.513 0.513 0.000
F3 0.963 0.722 0.160
F4 0.222 0.463 0.160
F5 0.803 0.963 0.241
F6 0.062 0.222 0.759
F7 0.013 0.013 0.000
F8 0.722 0.562 0.759
F9 0.562 0.803 0.840
F10 0.463 0.303 0.241
Hg1 0.889 0.389 0.291
Hg2 0.098 0.598 0.709
Hg3 0.598 0.889 0.500
Hg4 0.389 0.098 0.500
O1 0.685 0.185 0.942
O2 0.185 0.243 0.500
O3 0.243 0.743 0.058
O4 0.743 0.685 0.500
Al1 0.762 0.762 0.000
Al2 0.262 0.262 0.000



Summary of E (MP2020) in eV/atom
-5.195; -4.730; -4.600; -4.611; -4.091
(order as listed above)
Summary of energy relative to the elements in eV/f.u.
-29.5; -29.5; -26.6; -27.9; -17.1
(order as listed above)
Summary of DFT total energy in eV/atom
-4.912; -4.453; -4.322; -4.334; -3.723
(order as listed above)